{
  "formula": "Li4Mn3NbO8",
  "functional": "PBE+U",
  "state": "optimized geometry",
  "relative_energy_mev_per_atom": 15.4,
  "corrected_energy_ev_per_atom": -7.617,
  "magnetic_moment_mub_per_fu": 0.0,
  "delta_e_f_ev_per_atom": -2.32,
  "lattice_angstrom": [[-2.388, -0.377, 5.729], [-2.059, 4.344, -3.945], [-6.990, -7.807, -0.060]],
  "species": ["Li", "Li", "Li", "Li", "Li", "Li", "Li", "Li", "Mn", "Mn", "Mn", "Mn", "Mn", "Mn", "Nb", "Nb", "O", "O", "O", "O", "O", "O", "O", "O", "O", "O", "O", "O", "O", "O", "O", "O"],
  "fractional_positions": [[0.252, 0.743, 0.248], [0.752, 0.243, 0.747], [0.756, 0.750, 0.749], [0.256, 0.250, 0.249], [0.249, 0.245, 0.750], [0.749, 0.745, 0.250], [0.752, 0.249, 0.251], [0.252, 0.749, 0.751], [0.498, 0.997, 0.498], [0.999, 0.497, 0.500], [0.999, 0.997, 0.498], [0.998, 0.497, 0.998], [0.499, 0.997, 0.000], [0.499, 0.497, 0.998], [0.498, 0.498, 0.501], [0.998, 0.998, 0.001], [0.364, 0.633, 0.896], [0.863, 0.133, 0.396], [0.132, 0.862, 0.602], [0.632, 0.362, 0.102], [0.847, 0.610, 0.380], [0.347, 0.111, 0.880], [0.385, 0.150, 0.380], [0.884, 0.650, 0.880], [0.884, 0.112, 0.879], [0.384, 0.612, 0.379], [0.648, 0.883, 0.119], [0.149, 0.383, 0.619], [0.114, 0.348, 0.119], [0.613, 0.848, 0.619], [0.613, 0.382, 0.620], [0.113, 0.882, 0.120]]
}

---

{
  "formula": "Li4Mn3NbO8",
  "functional": "PBE+U",
  "state": "optimized geometry",
  "relative_energy_mev_per_atom": 6.3,
  "corrected_energy_ev_per_atom": -7.626,
  "magnetic_moment_mub_per_fu": 0.0,
  "delta_e_f_ev_per_atom": -2.33,
  "spacegroup": "P1, No. 1",
  "lattice_angstrom": [[6.165, 0.000, 0.000], [2.980, 5.413, 0.000], [2.841, 1.497, 9.862]],
  "species": ["Li", "Li", "Li", "Li", "Li", "Li", "Li", "Li", "Mn", "Mn", "Mn", "Mn", "Mn", "Mn", "Nb", "Nb", "O", "O", "O", "O", "O", "O", "O", "O", "O", "O", "O", "O", "O", "O", "O", "O"],
  "fractional_positions": [[0.000, 0.000, 0.000], [0.001, 0.499, 0.000], [0.005, 0.500, 0.499], [0.007, 0.998, 0.499], [0.498, 0.507, 0.498], [0.502, 0.999, 0.501], [0.503, 0.001, 0.998], [0.507, 0.498, 0.998], [0.249, 0.251, 0.749], [0.250, 0.751, 0.248], [0.251, 0.250, 0.249], [0.749, 0.751, 0.250], [0.750, 0.250, 0.748], [0.751, 0.750, 0.749], [0.250, 0.750, 0.751], [0.750, 0.250, 0.251], [0.087, 0.630, 0.142], [0.095, 0.130, 0.132], [0.129, 0.649, 0.623], [0.146, 0.104, 0.636], [0.354, 0.396, 0.863], [0.372, 0.850, 0.877], [0.404, 0.371, 0.368], [0.411, 0.870, 0.358], [0.587, 0.129, 0.643], [0.595, 0.631, 0.632], [0.629, 0.149, 0.123], [0.647, 0.604, 0.136], [0.854, 0.896, 0.363], [0.872, 0.351, 0.377], [0.905, 0.871, 0.868], [0.912, 0.371, 0.857]]
}

---

{
  "formula": "Li4Mn3NbO8",
  "functional": "PBE+U",
  "state": "optimized geometry",
  "relative_energy_mev_per_atom": 0.4,
  "corrected_energy_ev_per_atom": -7.632,
  "magnetic_moment_mub_per_fu": 0.0,
  "delta_e_f_ev_per_atom": -2.33,
  "spacegroup": "P1, No. 1",
  "lattice_angstrom": [[6.147, 0.000, 0.000], [0.000, 6.265, 0.000], [0.210, 0.002, 8.530]],
  "species": ["Li", "Li", "Li", "Li", "Li", "Li", "Li", "Li", "Mn", "Mn", "Mn", "Mn", "Mn", "Mn", "Nb", "Nb", "O", "O", "O", "O", "O", "O", "O", "O", "O", "O", "O", "O", "O", "O", "O", "O"],
  "fractional_positions": [[0.000, 0.000, 0.000], [0.001, 0.504, 0.000], [0.243, 0.745, 0.247], [0.255, 0.263, 0.249], [0.497, 0.009, 0.500], [0.502, 0.503, 0.500], [0.751, 0.743, 0.751], [0.755, 0.262, 0.751], [0.001, 0.003, 0.501], [0.003, 0.502, 0.500], [0.254, 0.258, 0.752], [0.502, 0.003, 0.000], [0.502, 0.503, 0.001], [0.747, 0.748, 0.250], [0.251, 0.763, 0.750], [0.755, 0.243, 0.250], [0.014, 0.521, 0.738], [0.016, 0.984, 0.757], [0.220, 0.275, 0.503], [0.238, 0.755, 0.988], [0.265, 0.754, 0.514], [0.285, 0.275, 0.999], [0.484, 0.985, 0.743], [0.489, 0.523, 0.765], [0.516, 0.483, 0.236], [0.520, 0.022, 0.258], [0.720, 0.731, 0.002], [0.739, 0.252, 0.487], [0.767, 0.251, 0.013], [0.786, 0.728, 0.498], [0.988, 0.021, 0.244], [0.990, 0.485, 0.263]]
}

---

{
  "formula": "Li4Mn3NbO8",
  "functional": "PBE+U",
  "state": "optimized geometry",
  "relative_energy_mev_per_atom": 405.6,
  "corrected_energy_ev_per_atom": -7.227,
  "magnetic_moment_mub_per_fu": 2.0,
  "delta_e_f_ev_per_atom": -1.93,
  "spacegroup": "Cm, No. 8",
  "lattice_angstrom": [[5.243, -3.110, 0.000], [5.243, 3.110, 0.000], [-3.398, 0.000, 5.061]],
  "species": ["Li", "Li", "Li", "Li", "Mn", "Mn", "Mn", "Nb", "O", "O", "O", "O", "O", "O", "O", "O"],
  "fractional_positions": [[0.000, 0.000, 0.000], [0.012, 0.501, 0.499], [0.501, 0.012, 0.499], [0.510, 0.510, 0.001], [0.006, 0.506, 0.005], [0.506, 0.006, 0.005], [0.506, 0.506, 0.505], [0.006, 0.006, 0.505], [0.233, 0.770, 0.741], [0.242, 0.242, 0.732], [0.242, 0.780, 0.269], [0.268, 0.268, 0.243], [0.744, 0.744, 0.767], [0.770, 0.233, 0.741], [0.770, 0.770, 0.278], [0.780, 0.242, 0.269]]
}